# PBE K2ScSi4O10F, optimized geometry
# Magnetic moment (μB per formula unit): 0.0
# Uncorrected energy (eV/f.u.): -133.61
# Formation energy from the elements (eV/atom): -3.294
# V (Å³ per atom): 14.8
data_K2ScSi4O10F
_space_group_name_H-M_alt 'P 1'
_space_group_IT_number 1
_cell_length_a 9.0190
_cell_length_b 9.0190
_cell_length_c 9.0190
_cell_angle_alpha 102.13
_cell_angle_beta 102.13
_cell_angle_gamma 125.43
loop_
_space_group_symop_operation_xyz
'x,y,z'
loop_
_atom_site_label
_atom_site_fract_x
_atom_site_fract_y
_atom_site_fract_z
_atom_site_occupancy
K1 0.1842 0.1843 0.3685 1
K2 0.1843 0.8158 0.0001 1
K3 0.8157 0.1842 0.9999 1
K4 0.8158 0.8157 0.6315 1
Sc1 0.2550 0.2550 0.0000 1
Sc2 0.7450 0.7450 0.0000 1
Si1 0.0051 0.7023 0.3244 1
Si2 0.2977 0.6221 0.3028 1
Si3 0.3193 0.9949 0.6972 1
Si4 0.3779 0.6807 0.6756 1
Si5 0.6221 0.3193 0.3244 1
Si6 0.6807 0.0051 0.3028 1
Si7 0.7023 0.3779 0.6972 1
Si8 0.9949 0.2977 0.6756 1
O1 0.0512 0.2365 0.8171 1
O2 0.0920 0.5909 0.2704 1
O3 0.1784 0.9080 0.4990 1
O4 0.1827 0.4479 0.6307 1
O5 0.2341 0.0512 0.8147 1
O6 0.2365 0.4194 0.1853 1
O7 0.3205 0.8216 0.7296 1
O8 0.4091 0.6795 0.5010 1
O9 0.4194 0.2341 0.1829 1
O10 0.4479 0.8173 0.2652 1
O11 0.5521 0.1827 0.7348 1
O12 0.5806 0.7659 0.8171 1
O13 0.5909 0.3205 0.4990 1
O14 0.6795 0.1784 0.2704 1
O15 0.7635 0.5806 0.8147 1
O16 0.7659 0.9488 0.1853 1
O17 0.8173 0.5521 0.3693 1
O18 0.8216 0.0920 0.5010 1
O19 0.9080 0.4091 0.7296 1
O20 0.9488 0.7635 0.1829 1
F1 0.0000 0.0000 0.0000 1
F2 0.5000 0.5000 0.0000 1